# 1
Below is a relaxed Ce3Ge5Pd14 crystal, with properties calculated at the PBE level.

abc: 9.1333 9.1283 18.3745
angles: 90.00 90.00 90.00
Fractional positions:
Ce 0.1186 0.2500 0.0296
Ce 0.1261 0.7500 0.2037
Ce 0.1280 0.2500 0.4572
Ce 0.3720 0.7500 0.9572
Ce 0.3739 0.2500 0.7037
Ce 0.3814 0.7500 0.5296
Ce 0.6186 0.2500 0.4704
Ce 0.6261 0.7500 0.2963
Ce 0.6280 0.2500 0.0428
Ce 0.8720 0.7500 0.5428
Ce 0.8739 0.2500 0.7963
Ce 0.8814 0.7500 0.9704
Ge 0.1129 0.0016 0.8967
Ge 0.1129 0.4984 0.8967
Ge 0.1240 0.2500 0.2645
Ge 0.1319 0.0078 0.6031
Ge 0.1319 0.4922 0.6031
Ge 0.3681 0.5078 0.1031
Ge 0.3681 0.9922 0.1031
Ge 0.3760 0.7500 0.7645
Ge 0.3871 0.5016 0.3967
Ge 0.3871 0.9984 0.3967
Ge 0.6129 0.0016 0.6033
Ge 0.6129 0.4984 0.6033
Ge 0.6240 0.2500 0.2355
Ge 0.6319 0.0078 0.8969
Ge 0.6319 0.4922 0.8969
Ge 0.8681 0.5078 0.3969
Ge 0.8681 0.9922 0.3969
Ge 0.8760 0.7500 0.7355
Ge 0.8871 0.5016 0.1033
Ge 0.8871 0.9984 0.1033
Pd 0.0309 0.2500 0.6418
Pd 0.1133 0.7500 0.6639
Pd 0.1211 0.5891 0.4731
Pd 0.1211 0.9109 0.4731
Pd 0.1238 0.0389 0.7499
Pd 0.1238 0.4611 0.7499
Pd 0.1285 0.0687 0.1667
Pd 0.1285 0.4313 0.1667
Pd 0.1278 0.5810 0.0324
Pd 0.1278 0.9190 0.0324
Pd 0.1289 0.0183 0.3318
Pd 0.1289 0.4817 0.3318
Pd 0.1342 0.7500 0.8283
Pd 0.2148 0.2500 0.8580
Pd 0.2852 0.7500 0.3580
Pd 0.3658 0.2500 0.3283
Pd 0.3711 0.5183 0.8318
Pd 0.3711 0.9817 0.8318
Pd 0.3722 0.0810 0.5324
Pd 0.3722 0.4190 0.5324
Pd 0.3715 0.5687 0.6667
Pd 0.3715 0.9313 0.6667
Pd 0.3762 0.5389 0.2499
Pd 0.3762 0.9611 0.2499
Pd 0.3789 0.0891 0.9731
Pd 0.3789 0.4109 0.9731
Pd 0.3867 0.2500 0.1639
Pd 0.4691 0.7500 0.1418
Pd 0.5309 0.2500 0.8582
Pd 0.6133 0.7500 0.8361
Pd 0.6211 0.5891 0.0269
Pd 0.6211 0.9109 0.0269
Pd 0.6238 0.0389 0.7501
Pd 0.6238 0.4611 0.7501
Pd 0.6285 0.0687 0.3333
Pd 0.6285 0.4313 0.3333
Pd 0.6278 0.5810 0.4676
Pd 0.6278 0.9190 0.4676
Pd 0.6289 0.0183 0.1682
Pd 0.6289 0.4817 0.1682
Pd 0.6342 0.7500 0.6717
Pd 0.7148 0.2500 0.6420
Pd 0.7852 0.7500 0.1420
Pd 0.8658 0.2500 0.1717
Pd 0.8711 0.5183 0.6682
Pd 0.8711 0.9817 0.6682
Pd 0.8722 0.0810 0.9676
Pd 0.8722 0.4190 0.9676
Pd 0.8715 0.5687 0.8333
Pd 0.8715 0.9313 0.8333
Pd 0.8762 0.5389 0.2501
Pd 0.8762 0.9611 0.2501
Pd 0.8789 0.0891 0.5269
Pd 0.8789 0.4109 0.5269
Pd 0.8867 0.2500 0.3361
Pd 0.9691 0.7500 0.3582

Summary:
E_tot, eV per atom: -5.865
Space-group type: Pnma
Crystal system: orthorhombic

***

# 2
Below is a relaxed Ti3Sn5S12 crystal, with properties calculated at the PBE level.

abc: 9.1336 3.6446 13.6458
angles: 90.00 91.00 90.00
Fractional positions:
Ti 0.0000 0.0000 0.0000
Ti 0.1717 0.5000 0.5080
Ti 0.6863 0.5000 0.9062
Sn 0.2996 0.5000 0.1193
Sn 0.3874 0.0000 0.7825
Sn 0.4994 0.0000 0.4038
Sn 0.8118 0.5000 0.2774
Sn 0.8812 0.0000 0.6231
S 0.0186 0.0000 0.4461
S 0.0792 0.5000 0.6683
S 0.1065 0.0000 0.1628
S 0.1573 0.5000 0.9432
S 0.3154 0.5000 0.3500
S 0.3456 0.0000 0.5617
S 0.5271 0.0000 0.9606
S 0.5798 0.5000 0.7415
S 0.6147 0.0000 0.2341
S 0.6783 0.5000 0.4623
S 0.8332 0.5000 0.0565
S 0.8511 0.0000 0.8490

Summary:
Space-group type: Pm
E (MP2020), eV for the cell shown: -115.211
Crystal system: monoclinic

***

# 3
Below is a relaxed Na5Hf2Sc2SiP5O24 crystal, with properties calculated at the PBE level.

abc: 9.0112 9.0116 22.7355
angles: 89.98 89.95 60.14
Fractional positions:
Na 0.0000 0.0000 0.0000
Na 0.0036 0.6388 0.5007
Na 0.2919 0.9827 0.5047
Na 0.2972 0.0328 0.8335
Na 0.3179 0.6626 0.5899
Na 0.3311 0.6579 0.0861
Na 0.6122 0.3260 0.1676
Na 0.6256 0.0110 0.2502
Na 0.6342 0.3667 0.5028
Na 0.6636 0.9805 0.7449
Na 0.6732 0.6583 0.3330
Na 0.6827 0.2946 0.8323
Na 0.9710 0.3527 0.9165
Na 0.9757 0.6974 0.1705
Na 0.9867 0.3195 0.4116
Hf 0.3026 0.6672 0.7312
Hf 0.3117 0.6593 0.9397
Hf 0.6461 0.9965 0.3992
Hf 0.6493 0.9943 0.9010
Hf 0.9733 0.3327 0.5712
Hf 0.9770 0.3306 0.0657
Sc 0.3081 0.6691 0.2358
Sc 0.3098 0.6636 0.4342
Sc 0.6323 0.0019 0.1031
Sc 0.6399 0.9929 0.6076
Sc 0.9746 0.3331 0.7699
Sc 0.9849 0.3212 0.2715
Si 0.0139 0.9580 0.8372
Si 0.6406 0.2947 0.0051
Si 0.6426 0.7012 0.5020
P 0.0118 0.6639 0.3358
P 0.2703 0.3304 0.1706
P 0.2727 0.0340 0.6711
P 0.3094 0.3723 0.8359
P 0.3096 0.9599 0.3384
P 0.3485 0.9967 0.0012
P 0.3515 0.2871 0.5035
P 0.5980 0.6651 0.8351
P 0.6058 0.3670 0.3348
P 0.6778 0.3293 0.6714
P 0.6845 0.6223 0.1718
P 0.9344 0.9973 0.5041
P 0.9355 0.7034 0.0054
P 0.9770 0.6254 0.6693
P 0.9776 0.0344 0.1684
O 0.0996 0.6817 0.2802
O 0.1113 0.6931 0.9969
O 0.1122 0.6492 0.3924
O 0.1137 0.8382 0.4960
O 0.1167 0.8355 0.7812
O 0.1276 0.8710 0.8966
O 0.1357 0.8529 0.1734
O 0.1445 0.6351 0.6721
O 0.1526 0.1387 0.3320
O 0.1529 0.3474 0.8312
O 0.1590 0.3504 0.1158
O 0.1643 0.1250 0.6146
O 0.1678 0.1582 0.0075
O 0.1734 0.2968 0.5095
O 0.1804 0.3144 0.2255
O 0.1807 0.1370 0.7264
O 0.2848 0.4962 0.1731
O 0.2877 0.8540 0.6725
O 0.2907 0.4802 0.8909
O 0.2925 0.8793 0.3962
O 0.3173 0.8420 0.9976
O 0.3188 0.4713 0.4948
O 0.3402 0.8390 0.2860
O 0.3444 0.4543 0.7819
O 0.4300 0.0159 0.9438
O 0.4376 0.1720 0.4486
O 0.4499 0.0176 0.6671
O 0.4530 0.1736 0.1669
O 0.4610 0.9711 0.0547
O 0.4672 0.2108 0.5569
O 0.4717 0.1908 0.8428
O 0.4753 0.4852 0.9987
O 0.4769 0.6721 0.4967
O 0.4774 0.9721 0.3417
O 0.4855 0.6902 0.7807
O 0.4995 0.4530 0.2791
O 0.5011 0.4954 0.6729
O 0.5086 0.6307 0.1738
O 0.5109 0.6369 0.8896
O 0.5183 0.4770 0.3904
O 0.6044 0.8328 0.8421
O 0.6055 0.8321 0.5558
O 0.6228 0.2043 0.0645
O 0.6254 0.1869 0.3409
O 0.6610 0.1698 0.6654
O 0.6694 0.1707 0.9473
O 0.6718 0.7983 0.1646
O 0.6787 0.7857 0.4425
O 0.7721 0.3481 0.6153
O 0.7765 0.5053 0.8307
O 0.7822 0.3151 0.7268
O 0.7827 0.5022 0.1187
O 0.7838 0.3544 0.3315
O 0.7895 0.5414 0.2284
O 0.8147 0.0156 0.1656
O 0.8170 0.5097 0.5088
O 0.8178 0.0336 0.4490
O 0.8204 0.3026 0.0077
O 0.8204 0.7936 0.9512
O 0.8201 0.8040 0.6649
O 0.8199 0.9824 0.8398
O 0.8289 0.8284 0.3391
O 0.8503 0.9683 0.5574
O 0.8575 0.8096 0.0614
O 0.9517 0.1523 0.2209
O 0.9569 0.1583 0.5097
O 0.9602 0.5218 0.0090
O 0.9621 0.5294 0.7222
O 0.9811 0.5092 0.3329
O 0.9927 0.1500 0.8325
O 0.9950 0.5207 0.6115
O 0.9964 0.1195 0.1111

Summary:
Space-group type: P1
E (MP2020), eV for the cell shown: -938.050
Crystal system: triclinic

***

# 4
Below is a relaxed ZrAsPd crystal, with properties calculated at the PBE level.

abc: 3.9614 19.6865 6.7765
angles: 90.00 90.00 90.00
Fractional positions:
Zr 0.2500 0.0693 0.0313
Zr 0.2500 0.1279 0.5445
Zr 0.2500 0.2500 0.1550
Zr 0.2500 0.3721 0.5445
Zr 0.2500 0.4307 0.0313
Zr 0.7500 0.5693 0.9687
Zr 0.7500 0.6279 0.4555
Zr 0.7500 0.7500 0.8450
Zr 0.7500 0.8721 0.4555
Zr 0.7500 0.9307 0.9687
As 0.2500 0.2500 0.7471
As 0.2500 0.5523 0.2557
As 0.2500 0.6511 0.7537
As 0.2500 0.8489 0.7537
As 0.2500 0.9477 0.2557
As 0.7500 0.0523 0.7443
As 0.7500 0.1511 0.2463
As 0.7500 0.3489 0.2463
As 0.7500 0.4477 0.7443
As 0.7500 0.7500 0.2529
Pd 0.2500 0.5272 0.6461
Pd 0.2500 0.6741 0.1191
Pd 0.2500 0.7500 0.5113
Pd 0.2500 0.8259 0.1191
Pd 0.2500 0.9728 0.6461
Pd 0.7500 0.0272 0.3539
Pd 0.7500 0.1741 0.8809
Pd 0.7500 0.2500 0.4887
Pd 0.7500 0.3259 0.8809
Pd 0.7500 0.4728 0.3539

Summary:
E_tot, eV per atom: -7.048
Space-group type: Pmmn
Crystal system: orthorhombic

***

# 5
Below is a relaxed MnAs crystal, with properties calculated at the PBE level.

abc: 5.5572 3.4227 6.0351
angles: 90.00 90.00 90.00
Fractional positions:
Mn 0.0033 0.2500 0.1898
Mn 0.4967 0.7500 0.6898
Mn 0.5033 0.2500 0.3102
Mn 0.9967 0.7500 0.8102
As 0.1965 0.2500 0.5812
As 0.3035 0.7500 0.0812
As 0.6965 0.2500 0.9188
As 0.8035 0.7500 0.4188

Summary:
E_tot, eV per atom: -7.181
Space-group type: Pnma
Crystal system: orthorhombic

***

# 6
Below is a relaxed NaB9Se8 crystal, with properties calculated at the PBE level.

abc: 17.2355 17.2355 9.0385
angles: 90.00 90.00 120.00
Fractional positions:
Na 0.1470 0.8063 0.1990
Na 0.1937 0.3407 0.1990
Na 0.3407 0.1470 0.8010
Na 0.6593 0.8530 0.1990
Na 0.8063 0.6593 0.8010
Na 0.8530 0.1937 0.8010
B 0.0149 0.0656 0.1490
B 0.0252 0.1060 0.9640
B 0.0507 0.9851 0.1490
B 0.0656 0.0507 0.8510
B 0.0808 0.9748 0.9640
B 0.0945 0.8625 0.7332
B 0.1024 0.5269 0.2892
B 0.1060 0.0808 0.0360
B 0.1375 0.2321 0.7332
B 0.2028 0.7653 0.7476
B 0.2321 0.0945 0.2668
B 0.2347 0.4374 0.7476
B 0.2354 0.5726 0.0544
B 0.2395 0.6712 0.9824
B 0.2726 0.6082 0.8696
B 0.2740 0.6679 0.1675
B 0.3288 0.5683 0.9824
B 0.3321 0.6061 0.1675
B 0.3355 0.7274 0.8696
B 0.3372 0.7646 0.0544
B 0.3918 0.6645 0.8696
B 0.3939 0.7260 0.1675
B 0.4245 0.8976 0.2892
B 0.4274 0.6628 0.0544
B 0.4317 0.7605 0.9824
B 0.4374 0.2028 0.2524
B 0.4731 0.5755 0.2892
B 0.5269 0.4245 0.7108
B 0.5626 0.7972 0.7476
B 0.5683 0.2395 0.0176
B 0.5726 0.3372 0.9456
B 0.5755 0.1024 0.7108
B 0.6061 0.2740 0.8325
B 0.6082 0.3355 0.1304
B 0.6628 0.2354 0.9456
B 0.6645 0.2726 0.1304
B 0.6679 0.3939 0.8325
B 0.6712 0.4317 0.0176
B 0.7260 0.3321 0.8325
B 0.7274 0.3918 0.1304
B 0.7605 0.3288 0.0176
B 0.7646 0.4274 0.9456
B 0.7653 0.5626 0.2524
B 0.7679 0.9055 0.7332
B 0.7972 0.2347 0.2524
B 0.8625 0.7679 0.2668
B 0.8940 0.9192 0.9640
B 0.8976 0.4731 0.7108
B 0.9055 0.1375 0.2668
B 0.9192 0.0252 0.0360
B 0.9344 0.9493 0.1490
B 0.9493 0.0149 0.8510
B 0.9748 0.8940 0.0360
B 0.9851 0.9344 0.8510
Se 0.0017 0.5512 0.5910
Se 0.0202 0.1462 0.3153
Se 0.0634 0.2321 0.8996
Se 0.1175 0.4661 0.1153
Se 0.1260 0.9798 0.3153
Se 0.1375 0.6896 0.9178
Se 0.1379 0.8014 0.6029
Se 0.1462 0.1260 0.6847
Se 0.1688 0.9366 0.8996
Se 0.1886 0.6526 0.3340
Se 0.1986 0.3366 0.6029
Se 0.2039 0.5275 0.6989
Se 0.2321 0.1688 0.1004
Se 0.3104 0.4478 0.9178
Se 0.3236 0.7961 0.6989
Se 0.3366 0.1379 0.3971
Se 0.3474 0.5360 0.3340
Se 0.3486 0.8825 0.1153
Se 0.4478 0.1375 0.0822
Se 0.4488 0.4506 0.5910
Se 0.4506 0.0017 0.4090
Se 0.4640 0.8114 0.3340
Se 0.4661 0.3486 0.8847
Se 0.4725 0.6764 0.6989
Se 0.5275 0.3236 0.3011
Se 0.5339 0.6514 0.1153
Se 0.5360 0.1886 0.6660
Se 0.5494 0.9983 0.5910
Se 0.5512 0.5494 0.4090
Se 0.5522 0.8625 0.9178
Se 0.6514 0.1175 0.8847
Se 0.6526 0.4640 0.6660
Se 0.6634 0.8621 0.6029
Se 0.6764 0.2039 0.3011
Se 0.6896 0.5522 0.0822
Se 0.7679 0.8312 0.8996
Se 0.7961 0.4725 0.3011
Se 0.8014 0.6634 0.3971
Se 0.8114 0.3474 0.6660
Se 0.8312 0.0634 0.1004
Se 0.8538 0.8740 0.3153
Se 0.8621 0.1986 0.3971
Se 0.8625 0.3104 0.0822
Se 0.8740 0.0202 0.6847
Se 0.8825 0.5339 0.8847
Se 0.9366 0.7679 0.1004
Se 0.9798 0.8538 0.6847
Se 0.9983 0.4488 0.4090

Summary:
Space-group type: P-3
E (MP2020), eV for the cell shown: -592.305
Crystal system: trigonal